Record 1
The following is a PBE calculation of CeMn2Si2 after structural relaxation, from the Materials Project database.

Lattice parameters (Å, degrees): 3.9423 3.9423 10.4047 90.00 90.00 90.00
Closest atoms and distances in Å follow each position.
Positions (direct):
Ce: 0.0000 0.0000 0.0000  8 Si 3.06, 8 Mn 3.26
Ce: 0.5000 0.5000 0.5000  8 Si 3.06, 8 Mn 3.26
Mn: 0.0000 0.5000 0.2500  4 Si 2.38
Mn: 0.0000 0.5000 0.7500  4 Si 2.38
Mn: 0.5000 0.0000 0.2500  4 Si 2.38
Mn: 0.5000 0.0000 0.7500  4 Si 2.38
Si: 0.0000 0.0000 0.3782  4 Mn 2.38, 1 Si 2.53
Si: 0.0000 0.0000 0.6218  4 Mn 2.38, 1 Si 2.53
Si: 0.5000 0.5000 0.1218  4 Mn 2.38, 1 Si 2.53
Si: 0.5000 0.5000 0.8782  4 Mn 2.38, 1 Si 2.53

Calculated volume, Å³/atom: 16.17
Energy, eV for the cell shown: -76.07
Space-group type: I4/mmm

Record 2
The following is a PBE calculation of CeMnSi after structural relaxation, from the Materials Project database.

Lattice parameters (Å, degrees): 4.1118 4.1118 6.5983 90.00 90.00 90.00
Closest atoms and distances in Å follow each position.
Positions (direct):
Ce: 0.2500 0.2500 0.1896  4 Mn 2.90, 4 Si 3.02
Ce: 0.7500 0.7500 0.8104  4 Mn 2.90, 4 Si 3.02
Mn: 0.2500 0.7500 0.5000  4 Si 2.39
Mn: 0.7500 0.2500 0.5000  4 Si 2.39
Si: 0.2500 0.2500 0.6849  4 Mn 2.39
Si: 0.7500 0.7500 0.3151  4 Mn 2.39

Calculated volume, Å³/atom: 18.59
Energy, eV for the cell shown: -44.09
Space-group type: P4/nmm

Record 3
The following is a PBE calculation of CeMnSn2 after structural relaxation, from the Materials Project database.

Lattice parameters (Å, degrees): 4.5884 18.0910 4.7837 90.00 90.00 90.00
Closest atoms and distances in Å follow each position.
Positions (direct):
Ce: 0.0000 0.1103 0.2500  10 Sn 3.38-3.61, 5 Mn 3.57-3.73
Ce: 0.0000 0.8897 0.7500  10 Sn 3.38-3.61, 5 Mn 3.57-3.73
Ce: 0.5000 0.3897 0.7500  10 Sn 3.38-3.61, 5 Mn 3.57-3.73
Ce: 0.5000 0.6103 0.2500  10 Sn 3.38-3.61, 5 Mn 3.57-3.73
Mn: 0.0000 0.3164 0.2500  5 Sn 2.53-2.65
Mn: 0.0000 0.6836 0.7500  5 Sn 2.53-2.65
Mn: 0.5000 0.1836 0.7500  5 Sn 2.53-2.65
Mn: 0.5000 0.8164 0.2500  5 Sn 2.53-2.65
Sn: 0.0000 0.2528 0.7500  4 Mn 2.61-2.65
Sn: 0.0000 0.4563 0.2500  1 Mn 2.53
Sn: 0.0000 0.5437 0.7500  1 Mn 2.53
Sn: 0.0000 0.7472 0.2500  4 Mn 2.61-2.65
Sn: 0.5000 0.0437 0.7500  1 Mn 2.53
Sn: 0.5000 0.2472 0.2500  4 Mn 2.61-2.65
Sn: 0.5000 0.7528 0.7500  4 Mn 2.61-2.65
Sn: 0.5000 0.9563 0.2500  1 Mn 2.53

Calculated volume, Å³/atom: 24.82
Energy, eV for the cell shown: -95.89
Space-group type: Cmcm
Total moment, μB per cell: 12.7

Record 4
The following is a PBE calculation of CeMo6S8 after structural relaxation, from the Materials Project database.

Lattice parameters (Å, degrees): 6.5361 6.5361 6.5361 88.85 88.85 88.85
Closest atoms and distances in Å follow each position.
Positions (direct):
Ce: 0.0000 0.0000 0.0000  8 S 2.80-3.03
Mo: 0.2253 0.4198 0.5631  5 S 2.41-2.59, 2 Mo 2.69
Mo: 0.4198 0.5631 0.2253  5 S 2.41-2.59, 2 Mo 2.69
Mo: 0.4369 0.7747 0.5802  5 S 2.41-2.59, 2 Mo 2.69
Mo: 0.5631 0.2253 0.4198  5 S 2.41-2.59, 2 Mo 2.69
Mo: 0.5802 0.4369 0.7747  5 S 2.41-2.59, 2 Mo 2.69
Mo: 0.7747 0.5802 0.4369  5 S 2.41-2.59, 2 Mo 2.69
S: 0.1257 0.7506 0.3747  4 Mo 2.46-2.59
S: 0.2427 0.2427 0.2427  3 Mo 2.41
S: 0.2494 0.6253 0.8743  4 Mo 2.46-2.59
S: 0.3747 0.1257 0.7506  4 Mo 2.46-2.59
S: 0.6253 0.8743 0.2494  4 Mo 2.46-2.59
S: 0.7506 0.3747 0.1257  4 Mo 2.46-2.59
S: 0.7573 0.7573 0.7573  3 Mo 2.41
S: 0.8743 0.2494 0.6253  4 Mo 2.46-2.59

Calculated volume, Å³/atom: 18.60
Energy, eV for the cell shown: -117.91
Space-group type: R-3

Record 5
The following is a PBE calculation of CeMo6Se8 after structural relaxation, from the Materials Project database.

Lattice parameters (Å, degrees): 6.7989 6.7989 6.7989 88.92 88.92 88.92
Closest atoms and distances in Å follow each position.
Positions (direct):
Ce: 0.0000 0.0000 0.0000  8 Se 2.87-3.13
Mo: 0.2356 0.4230 0.5602  5 Se 2.53-2.76, 4 Mo 2.69-2.73
Mo: 0.4230 0.5602 0.2356  5 Se 2.53-2.76, 4 Mo 2.69-2.73
Mo: 0.4398 0.7644 0.5770  5 Se 2.53-2.76, 4 Mo 2.69-2.73
Mo: 0.5602 0.2356 0.4230  5 Se 2.53-2.76, 4 Mo 2.69-2.73
Mo: 0.5770 0.4398 0.7644  5 Se 2.53-2.76, 4 Mo 2.69-2.73
Mo: 0.7644 0.5770 0.4398  5 Se 2.53-2.76, 4 Mo 2.69-2.73
Se: 0.1212 0.7556 0.3740  4 Mo 2.59-2.76
Se: 0.2395 0.2395 0.2395  3 Mo 2.53
Se: 0.2444 0.6260 0.8788  4 Mo 2.59-2.76
Se: 0.3740 0.1212 0.7556  4 Mo 2.59-2.76
Se: 0.6260 0.8788 0.2444  4 Mo 2.59-2.76
Se: 0.7556 0.3740 0.1212  4 Mo 2.59-2.76
Se: 0.7605 0.7605 0.7605  3 Mo 2.53
Se: 0.8788 0.2444 0.6260  4 Mo 2.59-2.76

Calculated volume, Å³/atom: 20.94
Energy, eV for the cell shown: -109.76
Space-group type: R-3
Total moment, μB per cell: 0.0

Record 6
The following is a PBE calculation of CeP2N2O9 after structural relaxation, from the Materials Project database.

Lattice parameters (Å, degrees): 10.6241 10.6241 10.6241 142.38 142.38 54.26
Closest atoms and distances in Å follow each position.
Positions (direct):
Ce: 0.3750 0.6250 0.7500  4 O 2.23
Ce: 0.6250 0.3750 0.2500  4 O 2.23
P: 0.1966 0.4466 0.7500  4 O 1.53-1.56
P: 0.4466 0.1966 0.2500  4 O 1.53-1.56
P: 0.5534 0.8034 0.7500  4 O 1.53-1.56
P: 0.8034 0.5534 0.2500  4 O 1.53-1.56
N: 0.0000 0.0000 0.0000  6 O 2.86-2.92
N: 0.0000 0.0000 0.5000  6 O 2.86-2.92
N: 0.0000 0.5000 0.0000  6 O 2.86-2.92
N: 0.5000 0.0000 0.5000  6 O 2.86-2.92
O: 0.0316 0.6004 0.4312  1 P 1.53
O: 0.1250 0.8750 0.2500  4 N 2.92
O: 0.2535 0.3380 0.5845  1 P 1.56
O: 0.2535 0.6691 0.9155  1 P 1.56
O: 0.3308 0.3996 0.9312  1 P 1.53
O: 0.3309 0.7465 0.5845  1 P 1.56
O: 0.3380 0.2535 0.0845  1 P 1.56
O: 0.3996 0.3308 0.4312  1 P 1.53
O: 0.3996 0.9684 0.0688  1 P 1.53
O: 0.6004 0.0316 0.9312  1 P 1.53
O: 0.6004 0.6692 0.5688  1 P 1.53
O: 0.6620 0.7465 0.9155  1 P 1.56
O: 0.6691 0.2535 0.4155  1 P 1.56
O: 0.6692 0.6004 0.0688  1 P 1.53
O: 0.7465 0.3309 0.0845  1 P 1.56
O: 0.7465 0.6620 0.4155  1 P 1.56
O: 0.8750 0.1250 0.7500  4 N 2.92
O: 0.9684 0.3996 0.5688  1 P 1.53

Calculated volume, Å³/atom: 15.85
Energy, eV for the cell shown: -176.54
Space-group type: I4_1/amd
Total moment, μB per cell: 12.0